The following is a PBE calculation of a relaxed Mg2Bi3O8 crystal, from the Materials Project.

```
26
Lattice="6.7671 0.0000 0.0000 -3.3836 5.8605 0.0000 0.0000 0.0000 9.6801" Properties=species:S:1:pos:R:3 pbc="T T T"
Mg 0.0000 3.9070 0.0000
Mg 0.0000 3.9070 3.5864
Mg 3.3836 1.9535 4.8400
Mg 3.3836 1.9535 8.4264
Bi 0.0000 1.9464 6.8819
Bi -1.6980 4.8873 6.8819
Bi 1.6856 0.9732 2.0419
Bi 1.6980 4.8873 6.8819
Bi 5.0815 0.9732 2.0419
Bi 3.3836 3.9142 2.0419
O 0.0000 0.0000 3.1131
O 0.0000 0.0000 7.9531
O -1.5245 3.0268 8.2452
O 0.0000 2.0668 1.0855
O -1.5937 4.8271 1.0855
O 0.0000 3.9070 5.6100
O 1.7899 1.0334 5.9255
O 1.5245 3.0268 8.2452
O 0.0000 5.6674 8.2452
O 3.3836 0.1932 3.4052
O 1.8591 2.8337 3.4052
O 1.5937 4.8271 1.0855
O 3.3836 1.9535 0.7700
O 4.9773 1.0334 5.9255
O 3.3836 3.7937 5.9255
O 4.9081 2.8337 3.4052
```

For the MP2020-corrected energy, the calculation gives -6.00 eV per atom.

=====

The following is a PBE calculation of a relaxed ZrCuP2O12 crystal, from the Materials Project.

```
16
Lattice="5.3814 0.0000 0.0000 2.6563 4.7044 0.0000 0.7346 1.3261 9.3134" Properties=species:S:1:pos:R:3 pbc="T T T"
Zr 0.0000 0.0000 0.0000
Cu 4.3861 3.0152 4.6567
P 3.4602 2.9403 7.6350
P 5.3121 3.0901 1.6784
O 3.0397 4.5952 4.0011
O 2.1604 2.4473 8.2872
O 3.7655 4.3838 8.0709
O 3.1559 2.8755 6.0927
O 4.1329 4.0121 1.3310
O 4.9845 4.6180 5.2735
O 3.7878 1.4125 4.0399
O 4.6394 2.0184 7.9824
O 5.6164 3.1549 3.2207
O 5.0068 1.6467 1.2425
O 6.6119 3.5831 1.0262
O 5.7326 1.4353 5.3123
```

For the MP2020-corrected energy, the calculation gives -6.90 eV per atom.

=====

The following is a PBE calculation of a relaxed Hf2MnCo crystal, from the Materials Project.

```
4
Lattice="0.0000 3.1490 3.1490 3.1490 0.0000 3.1490 3.1490 3.1490 0.0000" Properties=species:S:1:pos:R:3 pbc="T T T"
Hf 1.5745 1.5745 1.5745
Hf 4.7236 4.7236 4.7236
Mn 0.0000 0.0000 0.0000
Co 3.1490 3.1490 3.1490
```

=====

The following is a PBE calculation of a relaxed Sr4Mg3Al5 crystal, from the Materials Project.

```
24
Lattice="6.0454 0.0000 0.0000 -3.0227 5.2355 0.0000 0.0000 0.0000 19.9549" Properties=species:S:1:pos:R:3 pbc="T T T"
Sr 0.0000 0.0000 2.0498
Sr 0.0000 0.0000 7.9277
Sr 0.0000 0.0000 12.0272
Sr 0.0000 0.0000 17.9051
Sr 0.0000 3.4903 3.2141
Sr 0.0000 3.4903 6.7633
Sr 3.0227 1.7452 13.1916
Sr 3.0227 1.7452 16.7408
Mg -1.5114 2.6177 0.0000
Mg -1.5114 2.6177 9.9774
Mg 3.0227 0.0000 0.0000
Mg 3.0227 0.0000 9.9774
Mg 1.5114 2.6177 0.0000
Mg 1.5114 2.6177 9.9774
Al 0.0000 1.7299 14.9662
Al -1.5246 4.3705 14.9662
Al 1.4982 0.8650 4.9887
Al 0.0000 3.4903 12.7694
Al 0.0000 3.4903 17.1630
Al 3.0227 1.7452 2.7919
Al 3.0227 1.7452 7.1855
Al 1.5246 4.3705 14.9662
Al 4.5473 0.8650 4.9887
Al 3.0227 3.5056 4.9887
```

=====

The following is a PBE calculation of a relaxed CaAl2O4F4 crystal, from the Materials Project.

```
22
Lattice="3.4543 -5.5102 0.0000 3.4543 5.5102 0.0000 -0.9466 0.0000 7.7626" Properties=species:S:1:pos:R:3 pbc="T T T"
Ca 2.7443 5.1229 5.8220
Ca 3.2176 -5.1229 1.9407
Al 1.7271 2.7551 0.0000
Al 2.7443 1.2869 5.8220
Al 1.2538 -2.7551 3.8813
Al 3.2176 -1.2869 1.9407
O 1.4388 2.6833 6.0080
O 2.2736 1.6356 7.6274
O 3.2150 1.6356 4.0165
O 4.0497 2.6833 5.6360
O 1.9121 -2.6833 2.1267
O 2.7469 -1.6356 3.7461
O 3.6883 -1.6356 0.1352
O 4.5230 -2.6833 1.7547
F 2.8856 4.2102 0.2925
F 3.5496 4.2102 3.5888
F 1.4687 0.0954 5.5473
F 1.9420 -0.0954 1.6660
F 4.0199 0.0954 6.0966
F 4.4932 -0.0954 2.2153
F 2.4123 -4.2102 4.1738
F 3.0763 -4.2102 7.4701
```

For the MP2020-corrected energy, the calculation gives -6.12 eV per atom.

=====

The following is a PBE calculation of a relaxed Ba2NdSbO6 crystal, from the Materials Project.

```
10
Lattice="0.0000 4.3397 4.3397 4.3397 0.0000 4.3397 4.3397 4.3397 0.0000" Properties=species:S:1:pos:R:3 pbc="T T T"
Ba 2.1699 2.1699 2.1699
Ba 6.5096 6.5096 6.5096
Nd 0.0000 0.0000 0.0000
Sb 4.3397 4.3397 4.3397
O 4.3397 4.3397 2.3228
O 4.3397 2.3228 4.3397
O 6.3566 4.3397 4.3397
O 2.3228 4.3397 4.3397
O 4.3397 6.3566 4.3397
O 4.3397 4.3397 6.3566
```

For the MP2020-corrected energy, the calculation gives -7.25 eV per atom.

=====

| no. | DFT formation energy (eV per atom) |
| --- | --- |
| 1 | -1.808 |
| 2 | -1.718 |
| 3 | -0.306 |
| 4 | -0.183 |
| 5 | -2.760 |
| 6 | -3.009 |